[1]
The following is a DFT calculation (PBE) of a relaxed structure of Zr2TiPb3O9.

Summary:
Spin magnetization (μB/f.u.): 0.00
Corrected total energy (MP2020 scheme) (eV/atom): -8.17
DFT formation energy (eV/atom): -2.7923
Energy above the lowest structure with this stoichiometry (meV per atom): 9.3

```
data_Zr2TiPb3O9
_chemical_formula_sum 'Zr2 Ti1 Pb3 O9'
_cell_length_a 5.8528
_cell_length_b 5.8528
_cell_length_c 7.2911
_cell_angle_alpha 90.00
_cell_angle_beta 90.00
_cell_angle_gamma 120.00
_symmetry_space_group_name_H-M 'P 1'
_symmetry_Int_Tables_number 1
_symmetry_space_group_name_Hall 'P 1'
loop_
_atom_site_label
_atom_site_type_symbol
_atom_site_fract_x
_atom_site_fract_y
_atom_site_fract_z
Zr1 Zr 0.0000 0.0000 0.0000
Zr2 Zr 0.3333 0.6667 0.3444
Ti1 Ti 0.6667 0.3333 0.6754
Pb1 Pb 0.0000 0.0000 0.5448
Pb2 Pb 0.3333 0.6667 0.8781
Pb3 Pb 0.6667 0.3333 0.2269
O1 O 0.1740 0.3481 0.1387
O2 O 0.1740 0.8260 0.1387
O3 O 0.3341 0.1671 0.7973
O4 O 0.5105 0.0210 0.4809
O5 O 0.5105 0.4895 0.4809
O6 O 0.6519 0.8260 0.1387
O7 O 0.8329 0.1671 0.7973
O8 O 0.8329 0.6659 0.7973
O9 O 0.9790 0.4895 0.4809
```



[2]
The following is a DFT calculation (PBE) of a relaxed structure of Li4Ti5O12.

Summary:
Spin magnetization (μB/f.u.): 0.00
Corrected total energy (MP2020 scheme) (eV/atom): -8.25
DFT formation energy (eV/atom): -3.1790
Energy above the lowest structure with this stoichiometry (meV per atom): 24.1

```
data_Li4Ti5O12
_chemical_formula_sum 'Li8 Ti10 O24'
_cell_length_a 5.2882
_cell_length_b 9.5319
_cell_length_c 9.9318
_cell_angle_alpha 73.12
_cell_angle_beta 78.04
_cell_angle_gamma 78.91
_symmetry_space_group_name_H-M 'P 1'
_symmetry_Int_Tables_number 1
_symmetry_space_group_name_Hall 'P 1'
loop_
_atom_site_label
_atom_site_type_symbol
_atom_site_fract_x
_atom_site_fract_y
_atom_site_fract_z
Li1 Li 0.1321 0.4081 0.4044
Li2 Li 0.2733 0.9071 0.0226
Li3 Li 0.3103 0.7700 0.5558
Li4 Li 0.3385 0.5768 0.1109
Li5 Li 0.6615 0.4232 0.8891
Li6 Li 0.6897 0.2300 0.4442
Li7 Li 0.7267 0.0929 0.9774
Li8 Li 0.8679 0.5919 0.5956
Ti1 Ti 0.1370 0.5942 0.8506
Ti2 Ti 0.1768 0.0992 0.6750
Ti3 Ti 0.1883 0.2590 0.9321
Ti4 Ti 0.2731 0.0994 0.2754
Ti5 Ti 0.4331 0.4123 0.6460
Ti6 Ti 0.5669 0.5877 0.3540
Ti7 Ti 0.7269 0.9006 0.7246
Ti8 Ti 0.8117 0.7410 0.0679
Ti9 Ti 0.8232 0.9008 0.3250
Ti10 Ti 0.8630 0.4058 0.1494
O1 O 0.0467 0.2630 0.3031
O2 O 0.0586 0.4257 0.7785
O3 O 0.1042 0.1017 0.8615
O4 O 0.1202 0.9304 0.3777
O5 O 0.1611 0.7273 0.9519
O6 O 0.2359 0.4228 0.0109
O7 O 0.2625 0.5670 0.4859
O8 O 0.3225 0.2618 0.5676
O9 O 0.3434 0.1024 0.0880
O10 O 0.4154 0.9311 0.6572
O11 O 0.4572 0.5747 0.7291
O12 O 0.4740 0.7288 0.1861
O13 O 0.5260 0.2712 0.8139
O14 O 0.5428 0.4253 0.2709
O15 O 0.5846 0.0689 0.3428
O16 O 0.6566 0.8976 0.9120
O17 O 0.6775 0.7382 0.4324
O18 O 0.7375 0.4330 0.5141
O19 O 0.7641 0.5772 0.9891
O20 O 0.8389 0.2727 0.0481
O21 O 0.8798 0.0696 0.6223
O22 O 0.8958 0.8983 0.1385
O23 O 0.9414 0.5743 0.2215
O24 O 0.9533 0.7370 0.6969
```



[3]
The following is a DFT calculation (PBE) of a relaxed structure of Li4Ti2Nb3Cu3O16.

Summary:
Spin magnetization (μB/f.u.): 1.14
Corrected total energy (MP2020 scheme) (eV/atom): -7.69
DFT formation energy (eV/atom): -2.5075

```
data_Li4Ti2Nb3Cu3O16
_chemical_formula_sum 'Li4 Ti2 Nb3 Cu3 O16'
_cell_length_a 6.1494
_cell_length_b 6.1494
_cell_length_c 9.8795
_cell_angle_alpha 93.37
_cell_angle_beta 93.37
_cell_angle_gamma 58.87
_symmetry_space_group_name_H-M 'P 1'
_symmetry_Int_Tables_number 1
_symmetry_space_group_name_Hall 'P 1'
loop_
_atom_site_label
_atom_site_type_symbol
_atom_site_fract_x
_atom_site_fract_y
_atom_site_fract_z
Li1 Li 0.0000 0.0000 0.0000
Li2 Li 0.0204 0.0204 0.5213
Li3 Li 0.3586 0.3586 0.4336
Li4 Li 0.6882 0.6882 0.9163
Ti1 Ti 0.3891 0.3891 0.9941
Ti2 Ti 0.7011 0.7011 0.5303
Nb1 Nb 0.2019 0.2019 0.7500
Nb2 Nb 0.3666 0.8654 0.2394
Nb3 Nb 0.8654 0.3666 0.2394
Cu1 Cu 0.1962 0.6876 0.7256
Cu2 Cu 0.6876 0.1962 0.7256
Cu3 Cu 0.8543 0.8543 0.2279
O1 O 0.0271 0.0271 0.3310
O2 O 0.0281 0.0281 0.8135
O3 O 0.0580 0.4835 0.8809
O4 O 0.1807 0.1807 0.1309
O5 O 0.2141 0.6889 0.1087
O6 O 0.3537 0.3537 0.6340
O7 O 0.3822 0.8786 0.6115
O8 O 0.4835 0.0580 0.8809
O9 O 0.5038 0.5038 0.8686
O10 O 0.5242 0.9839 0.3701
O11 O 0.5413 0.5413 0.3508
O12 O 0.6794 0.6794 0.1243
O13 O 0.6889 0.2141 0.1087
O14 O 0.8598 0.8598 0.6081
O15 O 0.8786 0.3822 0.6115
O16 O 0.9839 0.5242 0.3701
```



[4]
The following is a DFT calculation (PBE) of a relaxed structure of Ti2Cr3Si.

Summary:
Spin magnetization (μB/f.u.): 0.02
Corrected total energy (MP2020 scheme) (eV/atom): -8.69
DFT formation energy (eV/atom): -0.3281

```
data_Ti2Cr3Si
_chemical_formula_sum 'Ti4 Cr6 Si2'
_cell_length_a 4.7987
_cell_length_b 4.7987
_cell_length_c 8.0515
_cell_angle_alpha 90.00
_cell_angle_beta 90.00
_cell_angle_gamma 120.00
_symmetry_space_group_name_H-M 'P 1'
_symmetry_Int_Tables_number 1
_symmetry_space_group_name_Hall 'P 1'
loop_
_atom_site_label
_atom_site_type_symbol
_atom_site_fract_x
_atom_site_fract_y
_atom_site_fract_z
Ti1 Ti 0.3333 0.6667 0.0624
Ti2 Ti 0.3333 0.6667 0.4376
Ti3 Ti 0.6667 0.3333 0.5624
Ti4 Ti 0.6667 0.3333 0.9376
Cr1 Cr 0.1728 0.3455 0.7500
Cr2 Cr 0.1728 0.8272 0.7500
Cr3 Cr 0.3455 0.1728 0.2500
Cr4 Cr 0.6545 0.8272 0.7500
Cr5 Cr 0.8272 0.1728 0.2500
Cr6 Cr 0.8272 0.6545 0.2500
Si1 Si 0.0000 0.0000 0.0000
Si2 Si 0.0000 0.0000 0.5000
```



[5]
The following is a DFT calculation (PBE) of a relaxed structure of HfGeSe.

Summary:
Corrected total energy (MP2020 scheme) (eV/atom): -7.12
DFT formation energy (eV/atom): -1.0908

```
data_HfGeSe
_chemical_formula_sum 'Hf2 Ge2 Se2'
_cell_length_a 3.7256
_cell_length_b 3.7256
_cell_length_c 8.2479
_cell_angle_alpha 90.00
_cell_angle_beta 90.00
_cell_angle_gamma 90.00
_symmetry_space_group_name_H-M 'P 1'
_symmetry_Int_Tables_number 1
_symmetry_space_group_name_Hall 'P 1'
loop_
_atom_site_label
_atom_site_type_symbol
_atom_site_fract_x
_atom_site_fract_y
_atom_site_fract_z
Hf1 Hf 0.2500 0.2500 0.2388
Hf2 Hf 0.7500 0.7500 0.7612
Ge1 Ge 0.2500 0.7500 0.5000
Ge2 Ge 0.7500 0.2500 0.5000
Se1 Se 0.2500 0.2500 0.8799
Se2 Se 0.7500 0.7500 0.1201
```



[6]
The following is a DFT calculation (PBE) of a relaxed structure of Na2TiGeO5.

Summary:
Spin magnetization (μB/f.u.): 0.00
Corrected total energy (MP2020 scheme) (eV/atom): -7.05
DFT formation energy (eV/atom): -2.6176

```
data_Na2TiGeO5
_chemical_formula_sum 'Na4 Ti2 Ge2 O10'
_cell_length_a 6.7185
_cell_length_b 6.7185
_cell_length_c 5.2381
_cell_angle_alpha 90.00
_cell_angle_beta 90.00
_cell_angle_gamma 90.00
_symmetry_space_group_name_H-M 'P 1'
_symmetry_Int_Tables_number 1
_symmetry_space_group_name_Hall 'P 1'
loop_
_atom_site_label
_atom_site_type_symbol
_atom_site_fract_x
_atom_site_fract_y
_atom_site_fract_z
Na1 Na 0.0000 0.0000 0.0000
Na2 Na 0.0000 0.5000 0.0000
Na3 Na 0.5000 0.0000 0.0000
Na4 Na 0.5000 0.5000 0.0000
Ti1 Ti 0.2500 0.2500 0.4276
Ti2 Ti 0.7500 0.7500 0.5724
Ge1 Ge 0.2500 0.7500 0.5000
Ge2 Ge 0.7500 0.2500 0.5000
O1 O 0.0339 0.7500 0.6945
O2 O 0.2500 0.2500 0.7558
O3 O 0.2500 0.5339 0.3055
O4 O 0.2500 0.9661 0.3055
O5 O 0.4661 0.7500 0.6945
O6 O 0.5339 0.2500 0.3055
O7 O 0.7500 0.0339 0.6945
O8 O 0.7500 0.4661 0.6945
O9 O 0.7500 0.7500 0.2442
O10 O 0.9661 0.2500 0.3055
```



> The highest corrected total energy (MP2020 scheme) belongs to which entry?

Na2TiGeO5



> corrected total energy (MP2020 scheme) of number 6 (Na2TiGeO5)?

-7.05 eV/atom



> Number 5 is which compound?

HfGeSe